(1)
CaMgCd | meta-GGA r2SCAN | relaxed

Summary:
* symmetry: Amm2, No. 38
* calculated formation energy: -0.27 eV per atom
* VASP energy: -128.5 eV/cell
* size of the total moment: 0.000 μB/f.u.

Cell: 6.0993 6.0993 9.6433 Å, 90.00 90.00 119.25°
Closest atoms and distances in Å follow each position.
Fractional coordinates of all 12 atoms:
Cd 0.6561 0.8323 0.5000  4 Cd 3.01-3.16, 2 Mg 3.02-3.08
Cd 0.0011 0.9989 0.7509  4 Mg 2.96-2.99, 2 Cd 3.04
Cd 0.0011 0.9989 0.2491  4 Mg 2.96-2.99, 2 Cd 3.04
Cd 0.1677 0.3439 0.5000  4 Cd 3.01-3.16, 2 Mg 3.02-3.08
Mg 0.3347 0.1650 0.0000  2 Cd 2.99, 4 Mg 3.03-3.09
Mg 0.8350 0.6653 0.0000  2 Cd 2.99, 4 Mg 3.03-3.09
Mg 0.8327 0.1673 0.0000  2 Cd 2.99, 4 Mg 3.03-3.07
Mg 0.1635 0.8365 0.5000  6 Cd 2.96-3.08
Ca 0.3355 0.6645 0.8040  5 Cd 3.39-3.58, 7 Mg 3.45-3.62, 4 Ca 3.69-3.78
Ca 0.6686 0.3314 0.3157  7 Cd 3.49-3.61, 5 Mg 3.50-3.56, 4 Ca 3.55-3.73
Ca 0.3355 0.6645 0.1960  5 Cd 3.39-3.58, 7 Mg 3.45-3.62, 4 Ca 3.69-3.78
Ca 0.6686 0.3314 0.6843  7 Cd 3.49-3.61, 5 Mg 3.50-3.56, 4 Ca 3.55-3.73

---

(2)
YTlPd | meta-GGA r2SCAN | relaxed

Summary:
* symmetry: P-62m, No. 189
* calculated formation energy: -0.73 eV per atom
* VASP energy: -295.9 eV/cell
* size of the total moment: 0.000 μB/f.u.

Cell: 7.7955 7.7955 3.7944 Å, 90.00 90.00 120.00°
Closest atoms and distances in Å follow each position.
Fractional coordinates of all 9 atoms:
Tl 0.2672 0.0000 0.0000  4 Pd 2.82-2.89
Tl 0.7328 0.7328 0.0000  4 Pd 2.82-2.89
Tl 0.0000 0.2672 0.0000  4 Pd 2.82-2.89
Pd 0.3333 0.6667 0.0000  3 Tl 2.89, 6 Y 3.04
Pd 0.6667 0.3333 0.0000  3 Tl 2.89, 6 Y 3.04
Pd 0.0000 0.0000 0.5000  6 Tl 2.82, 3 Y 3.14
Y 0.4028 0.4028 0.5000  5 Pd 3.04-3.14, 6 Tl 3.20-3.35
Y 0.5972 0.0000 0.5000  5 Pd 3.04-3.14, 6 Tl 3.20-3.35
Y 0.0000 0.5972 0.5000  5 Pd 3.04-3.14, 6 Tl 3.20-3.35

---

(3)
DyCu2Si2 | meta-GGA r2SCAN | relaxed

Summary:
* symmetry: I4/mmm, No. 139
* calculated formation energy: -0.63 eV per atom
* VASP energy: -74.4 eV/cell
* size of the total moment: 0.000 μB/f.u.

Cell: 3.9475 3.9475 5.6954 Å, 110.28 110.28 90.00°
Closest atoms and distances in Å follow each position.
Fractional coordinates of all 5 atoms:
Si 0.3821 0.3821 0.7642  1 Si 2.34, 4 Cu 2.37
Si 0.6179 0.6179 0.2358  1 Si 2.34, 4 Cu 2.37
Cu 0.2500 0.7500 0.5000  4 Si 2.37
Cu 0.7500 0.2500 0.5000  4 Si 2.37
Dy 0.0000 0.0000 0.0000  8 Si 3.03, 8 Cu 3.17

---

(4)
DyCo5Si3 | meta-GGA r2SCAN | relaxed

Summary:
* symmetry: P6_3/m, No. 176
* calculated formation energy: -0.51 eV per atom
* VASP energy: -774.4 eV/cell
* size of the total moment: 1.308 μB/f.u.

Cell: 3.6753 14.5644 14.5643 Å, 120.00 90.00 90.00°
Closest atoms and distances in Å follow each position.
Fractional coordinates of all 54 atoms:
Dy 0.2500 0.2926 0.8988  6 Si 2.88-2.93, 10 Co 2.92-3.21
Dy 0.7500 0.8988 0.6061  6 Si 2.88-2.93, 10 Co 2.92-3.21
Dy 0.2500 0.6061 0.7074  6 Si 2.88-2.93, 10 Co 2.92-3.21
Dy 0.7500 0.7074 0.1012  6 Si 2.88-2.93, 10 Co 2.92-3.21
Dy 0.7500 0.3938 0.2926  6 Si 2.88-2.93, 10 Co 2.92-3.21
Dy 0.2500 0.1012 0.3938  6 Si 2.88-2.93, 10 Co 2.92-3.21
Si 0.7500 0.6300 0.5671  7 Co 2.22-2.31
Si 0.7500 0.7534 0.8720  7 Co 2.25-2.42
Si 0.7500 0.2396 0.5576  6 Co 2.29-2.37
Si 0.2500 0.2466 0.1280  7 Co 2.25-2.42
Si 0.2500 0.7604 0.4424  6 Co 2.29-2.37
Si 0.2500 0.5671 0.9371  7 Co 2.22-2.31
Si 0.2500 0.5576 0.3180  6 Co 2.29-2.37
Si 0.2500 0.0629 0.6300  7 Co 2.22-2.31
Si 0.7500 0.9370 0.3700  7 Co 2.22-2.31
Si 0.2500 0.8814 0.7534  7 Co 2.25-2.42
Si 0.2500 0.6820 0.2396  6 Co 2.29-2.37
Si 0.7500 0.3181 0.7604  6 Co 2.29-2.37
Si 0.2500 0.8720 0.1186  7 Co 2.25-2.42
Si 0.7500 0.4424 0.6819  6 Co 2.29-2.37
Si 0.7500 0.1186 0.2466  7 Co 2.25-2.42
Si 0.7500 0.4329 0.0630  7 Co 2.22-2.31
Si 0.7500 0.1280 0.8814  7 Co 2.25-2.42
Si 0.2500 0.3700 0.4329  7 Co 2.22-2.31
Co 0.7500 0.7804 0.7322  4 Si 2.26-2.31, 1 Co 2.49
Co 0.7500 0.6523 0.4271  5 Si 2.22-2.37
Co 0.2500 0.3477 0.5729  5 Si 2.22-2.37
Co 0.7500 0.0744 0.5407  4 Si 2.28-2.31, 1 Co 2.46
Co 0.7500 0.1472 0.7337  4 Si 2.30-2.32, 1 Co 2.46
Co 0.2500 0.0300 0.1255  3 Si 2.25-2.42, 5 Co 2.47-2.49
Co 0.7500 0.2678 0.0482  4 Si 2.26-2.31, 1 Co 2.49
Co 0.2500 0.8528 0.2663  4 Si 2.30-2.32, 1 Co 2.46
Co 0.2500 0.7337 0.5865  4 Si 2.30-2.32, 1 Co 2.46
Co 0.2500 0.2196 0.2678  4 Si 2.26-2.30, 1 Co 2.49
Co 0.2500 0.0955 0.9700  3 Si 2.25-2.42, 5 Co 2.47-2.49
Co 0.7500 0.9700 0.8745  3 Si 2.25-2.42, 5 Co 2.47-2.49
Co 0.7500 0.4593 0.5337  4 Si 2.28-2.31, 1 Co 2.46
Co 0.2500 0.2252 0.6523  5 Si 2.22-2.37
Co 0.2500 0.7322 0.9518  4 Si 2.26-2.31, 1 Co 2.49
Co 0.7500 0.7748 0.3477  5 Si 2.22-2.37
Co 0.7500 0.5729 0.2252  5 Si 2.22-2.37
Co 0.2500 0.9256 0.4593  4 Si 2.28-2.31, 1 Co 2.46
Co 0.2500 0.5337 0.0744  4 Si 2.28-2.31, 1 Co 2.46
Co 0.2500 0.0482 0.7804  4 Si 2.26-2.31, 1 Co 2.49
Co 0.7500 0.9045 0.0300  3 Si 2.25-2.42, 5 Co 2.47-2.49
Co 0.2500 0.5407 0.4663  4 Si 2.28-2.31, 1 Co 2.46
Co 0.2500 0.4271 0.7748  5 Si 2.22-2.37
Co 0.7500 0.2663 0.4135  4 Si 2.30-2.32, 1 Co 2.46
Co 0.2500 0.4135 0.1472  4 Si 2.30-2.32, 1 Co 2.46
Co 0.7500 0.4663 0.9256  4 Si 2.28-2.31, 1 Co 2.46
Co 0.7500 0.9518 0.2196  4 Si 2.26-2.30, 1 Co 2.49
Co 0.7500 0.5865 0.8528  4 Si 2.30-2.32, 1 Co 2.46
Co 0.2500 0.8745 0.9045  3 Si 2.25-2.42, 5 Co 2.47-2.49
Co 0.7500 0.1255 0.0955  3 Si 2.25-2.42, 5 Co 2.47-2.49

---

- Which of these has the lowest calculated formation energy?
  YTlPd

---

- Look up the size of the total moment of the fourth one.
  1.308 μB/f.u.